1.
Below is crystalline ScV4Si3 at its relaxed geometry, with properties calculated at the PBE-GGA level.

Values from the calculation:
energy relative to the elements	-0.532	eV per atom
magnetic moment	1.82	μB per cell
ρ	4.84	Mg/m³
symmetry	Amm2
VASP energy	-7.926	eV per atom

a b c (Å): 4.9412 7.2391 7.4451
angles (deg): 120.93 89.99 90.01
Last column: nearest neighbours and their distance in Å.
Atoms (fractional coordinates):
Sc 0.7499 0.2311 0.0013  5 Si 2.58-2.75, 1 Sc 2.87
Sc 0.7501 0.7688 0.7702  5 Si 2.58-2.75, 1 Sc 2.87
V 0.5009 0.3367 0.6681  2 V 2.46-2.48, 6 Si 2.52-2.58
V 0.5010 0.6633 0.3314  2 V 2.46-2.48, 6 Si 2.52-2.58
V 0.9991 0.6633 0.3314  2 V 2.46-2.48, 6 Si 2.52-2.58
V 0.9990 0.3367 0.6680  2 V 2.46-2.48, 6 Si 2.52-2.58
V 0.7501 0.0001 0.2600  5 Si 2.47-2.66
V 0.2501 0.7586 0.0040  5 Si 2.49-2.71
V 0.2498 0.2414 0.2455  5 Si 2.49-2.71
V 0.2500 0.0001 0.7281  5 Si 2.50-2.67
Si 0.7500 0.6050 0.0069  7 V 2.49-2.71, 2 Sc 2.58-2.69
Si 0.7498 0.3950 0.4020  7 V 2.49-2.71, 2 Sc 2.58-2.69
Si 0.7500 0.0001 0.5916  7 V 2.47-2.67, 2 Sc 2.62
Si 0.2500 0.3967 0.9981  7 V 2.52-2.60, 2 Sc 2.75
Si 0.2500 0.6032 0.6015  7 V 2.52-2.60, 2 Sc 2.75
Si 0.2501 0.0001 0.3919  9 V 2.49-2.66

2.
Below is crystalline Sc3V2Si3 at its relaxed geometry, with properties calculated at the PBE-GGA level.

Values from the calculation:
energy relative to the elements	-0.650	eV per atom
magnetic moment	0.01	μB per cell
ρ	4.06	Mg/m³
symmetry	P6_3/mcm
VASP energy	-7.357	eV per atom

a b c (Å): 7.6498 7.6498 5.1756
angles (deg): 90.00 90.00 120.00
Last column: nearest neighbours and their distance in Å.
Atoms (fractional coordinates):
Sc 0.2461 0.0000 0.7500  5 Si 2.67-2.86
Sc 0.7539 0.0000 0.2500  5 Si 2.67-2.86
Sc 0.0000 0.2461 0.7500  5 Si 2.67-2.86
Sc 0.0000 0.7539 0.2500  5 Si 2.67-2.86
Sc 0.7539 0.7539 0.7500  5 Si 2.67-2.86
Sc 0.2461 0.2461 0.2500  5 Si 2.67-2.86
V 0.3333 0.6667 0.5000  2 V 2.59, 6 Si 2.66
V 0.6667 0.3333 0.5000  2 V 2.59, 6 Si 2.66
V 0.6667 0.3333 0.0000  2 V 2.59, 6 Si 2.66
V 0.3333 0.6667 0.0000  2 V 2.59, 6 Si 2.66
Si 0.5946 0.0000 0.7500  4 V 2.66, 5 Sc 2.67-2.86, 2 Si 2.97
Si 0.4054 0.0000 0.2500  4 V 2.66, 5 Sc 2.67-2.86, 2 Si 2.97
Si 0.0000 0.5946 0.7500  4 V 2.66, 5 Sc 2.67-2.86, 2 Si 2.97
Si 0.0000 0.4054 0.2500  4 V 2.66, 5 Sc 2.67-2.86, 2 Si 2.97
Si 0.4054 0.4054 0.7500  4 V 2.66, 5 Sc 2.67-2.86, 2 Si 2.97
Si 0.5946 0.5946 0.2500  4 V 2.66, 5 Sc 2.67-2.86, 2 Si 2.97

3.
Below is crystalline Sc2V3Si4 at its relaxed geometry, with properties calculated at the PBE-GGA level.

Values from the calculation:
energy relative to the elements	-0.717	eV per atom
ρ	4.37	Mg/m³
symmetry	P4_12_12
VASP energy	-7.595	eV per atom

a b c (Å): 6.6306 6.6306 12.2729
angles (deg): 90.00 90.00 90.00
Last column: nearest neighbours and their distance in Å.
Atoms (fractional coordinates):
Sc 0.0017 0.6623 0.0303  7 Si 2.67-2.87
Sc 0.8377 0.5017 0.2803  7 Si 2.67-2.87
Sc 0.1623 0.4983 0.7803  7 Si 2.67-2.87
Sc 0.5017 0.8377 0.7197  7 Si 2.67-2.87
Sc 0.4983 0.1623 0.2197  7 Si 2.67-2.87
Sc 0.9983 0.3377 0.5303  7 Si 2.67-2.87
Sc 0.6623 0.0017 0.9697  7 Si 2.67-2.87
Sc 0.3377 0.9983 0.4697  7 Si 2.67-2.87
V 0.3316 0.3316 0.0000  6 Si 2.57-2.62, 2 V 2.84
V 0.1684 0.8316 0.2500  6 Si 2.57-2.62, 2 V 2.84
V 0.8316 0.1684 0.7500  6 Si 2.57-2.62, 2 V 2.84
V 0.6684 0.6684 0.5000  6 Si 2.57-2.62, 2 V 2.84
V 0.0076 0.1565 0.1268  6 Si 2.43-2.56
V 0.3435 0.5076 0.3768  6 Si 2.43-2.56
V 0.6565 0.4924 0.8768  6 Si 2.43-2.56
V 0.5076 0.3435 0.6232  6 Si 2.43-2.56
V 0.4924 0.6565 0.1232  6 Si 2.43-2.56
V 0.9924 0.8435 0.6268  6 Si 2.43-2.56
V 0.1565 0.0076 0.8732  6 Si 2.43-2.56
V 0.8435 0.9924 0.3732  6 Si 2.43-2.56
Si 0.2942 0.9598 0.0644  1 Si 2.42, 5 V 2.43-2.60, 1 Sc 2.70
Si 0.5402 0.7942 0.3144  1 Si 2.42, 5 V 2.43-2.60, 1 Sc 2.70
Si 0.4598 0.2058 0.8144  1 Si 2.42, 5 V 2.43-2.60, 1 Sc 2.70
Si 0.7942 0.5402 0.6856  1 Si 2.42, 5 V 2.43-2.60, 1 Sc 2.70
Si 0.2058 0.4598 0.1856  1 Si 2.42, 5 V 2.43-2.60, 1 Sc 2.70
Si 0.7058 0.0402 0.5644  1 Si 2.42, 5 V 2.43-2.60, 1 Sc 2.70
Si 0.9598 0.2942 0.9356  1 Si 2.42, 5 V 2.43-2.60, 1 Sc 2.70
Si 0.0402 0.7058 0.4356  1 Si 2.42, 5 V 2.43-2.60, 1 Sc 2.70
Si 0.7036 0.3694 0.0701  1 Si 2.42, 4 V 2.45-2.62, 1 Sc 2.67
Si 0.1306 0.2036 0.3201  1 Si 2.42, 4 V 2.45-2.62, 1 Sc 2.67
Si 0.8694 0.7964 0.8201  1 Si 2.42, 4 V 2.45-2.62, 1 Sc 2.67
Si 0.2036 0.1306 0.6799  1 Si 2.42, 4 V 2.45-2.62, 1 Sc 2.67
Si 0.7964 0.8694 0.1799  1 Si 2.42, 4 V 2.45-2.62, 1 Sc 2.67
Si 0.2964 0.6306 0.5701  1 Si 2.42, 4 V 2.45-2.62, 1 Sc 2.67
Si 0.3694 0.7036 0.9299  1 Si 2.42, 4 V 2.45-2.62, 1 Sc 2.67
Si 0.6306 0.2964 0.4299  1 Si 2.42, 4 V 2.45-2.62, 1 Sc 2.67

4.
Below is crystalline Y5Sc5Si6 at its relaxed geometry, with properties calculated at the PBE-GGA level.

Values from the calculation:
energy relative to the elements	-0.713	eV per atom
magnetic moment	0.00	μB per cell
ρ	3.92	Mg/m³
symmetry	Amm2
VASP energy	-6.773	eV per atom

a b c (Å): 8.2289 8.2289 6.0263
angles (deg): 90.00 90.00 119.65
Last column: nearest neighbours and their distance in Å.
Atoms (fractional coordinates):
Y 0.2457 0.9996 0.5000  3 Si 2.87-2.98
Y 0.9996 0.2457 0.5000  3 Si 2.87-2.98
Y 0.2493 0.2493 0.0000  3 Si 2.87-2.91
Y 0.7539 0.9980 0.0000  3 Si 2.86-2.93
Y 0.9980 0.7539 0.0000  3 Si 2.86-2.93
Sc 0.6674 0.3355 0.2507  6 Si 2.91-3.00, 2 Sc 3.00-3.02
Sc 0.3355 0.6674 0.2507  6 Si 2.91-3.00, 2 Sc 3.00-3.02
Sc 0.3355 0.6674 0.7493  6 Si 2.91-3.00, 2 Sc 3.00-3.02
Sc 0.6674 0.3355 0.7493  6 Si 2.91-3.00, 2 Sc 3.00-3.02
Sc 0.7491 0.7491 0.5000  3 Si 2.80-2.85
Si 0.4041 0.4041 0.5000  5 Sc 2.85-2.91, 2 Y 2.91
Si 0.6039 0.9928 0.5000  5 Sc 2.80-3.00, 2 Y 2.87-2.98
Si 0.9928 0.6039 0.5000  5 Sc 2.80-3.00, 2 Y 2.87-2.98
Si 0.6014 0.6014 0.0000  3 Y 2.86-2.91, 4 Sc 2.92
Si 0.3976 0.9986 0.0000  3 Y 2.87-2.93, 4 Sc 2.93-2.97
Si 0.9986 0.3976 0.0000  3 Y 2.87-2.93, 4 Sc 2.93-2.97

5.
Below is crystalline Y4ScSi10 at its relaxed geometry, with properties calculated at the PBE-GGA level.

Values from the calculation:
energy relative to the elements	-0.440	eV per atom
magnetic moment	0.01	μB per cell
ρ	4.00	Mg/m³
symmetry	P6/mmm
VASP energy	-6.251	eV per atom

a b c (Å): 4.0575 4.0575 19.8568
angles (deg): 90.00 90.00 120.00
Last column: nearest neighbours and their distance in Å.
Atoms (fractional coordinates):
Y 0.0000 0.0000 0.8058  12 Si 3.10
Y 0.0000 0.0000 0.6013  12 Si 3.09-3.10
Y 0.0000 0.0000 0.3987  12 Si 3.09-3.10
Y 0.0000 0.0000 0.1942  12 Si 3.10
Sc 0.0000 0.0000 0.0000  12 Si 2.97
Si 0.6667 0.3333 0.9081  3 Si 2.34
Si 0.6667 0.3333 0.7032  3 Si 2.34
Si 0.6667 0.3333 0.5000  3 Si 2.34
Si 0.6667 0.3333 0.2968  3 Si 2.34
Si 0.6667 0.3333 0.0919  3 Si 2.34
Si 0.3333 0.6667 0.9081  3 Si 2.34
Si 0.3333 0.6667 0.7032  3 Si 2.34
Si 0.3333 0.6667 0.5000  3 Si 2.34
Si 0.3333 0.6667 0.2968  3 Si 2.34
Si 0.3333 0.6667 0.0919  3 Si 2.34

6.
Below is crystalline Sc3Sn at its relaxed geometry, with properties calculated at the PBE-GGA level.

Values from the calculation:
energy relative to the elements	-0.435	eV per atom
ρ	4.56	Mg/m³
symmetry	Pm-3m
VASP energy	-6.187	eV per atom

a b c (Å): 4.5206 4.5206 4.5206
angles (deg): 90.00 90.00 90.00
Last column: nearest neighbours and their distance in Å.
Atoms (fractional coordinates):
Sc 0.0000 0.5000 0.5000  4 Sn 3.20, 8 Sc 3.20
Sc 0.5000 0.0000 0.5000  4 Sn 3.20, 8 Sc 3.20
Sc 0.5000 0.5000 0.0000  4 Sn 3.20, 8 Sc 3.20
Sn 0.0000 0.0000 0.0000  12 Sc 3.20

> Which value of ρ does entry 5 give?

4.00 Mg/m³

> energy relative to the elements of number 2 (Sc3V2Si3)?

-0.650 eV per atom

> VASP energy of number 5 (Y4ScSi10)?

-6.251 eV per atom